A plane-wave DFT calculation with PBE-GGA was carried out for a geometry-optimized MgTiAlS4 structure.

extended XYZ file:
```
14
Lattice="-3.609 3.676 5.190 3.609 -3.676 5.190 3.609 3.676 -5.190" Properties=species:S:1:pos:R:3 pbc="T T T"
Mg 0.000 1.838 1.297
Mg 3.609 1.838 3.894
Ti 1.804 1.838 -2.595
Ti 1.804 -1.838 2.595
Al 3.609 0.000 0.000
Al 0.000 0.000 5.190
S 3.609 -0.123 2.445
S 1.988 1.838 -0.107
S 5.230 1.838 -0.107
S 3.609 3.553 -2.445
S 0.000 0.123 7.635
S -1.621 1.838 5.298
S 1.621 1.838 5.298
S 0.000 3.800 2.745
```

- magnetic moment (μB per atom) = 0.1429
- density (g/cm³) = 2.74
- V (Å³/cell) = 275.4
- symmetry = Imma (74)
- energy of formation from the pure elements (eV/atom) = -1.51


A plane-wave DFT calculation with PBE-GGA was carried out for a geometry-optimized YMg2 structure.

extended XYZ file:
```
12
Lattice="10.024 0.000 0.000 0.000 5.775 0.000 0.000 0.000 5.443" Properties=species:S:1:pos:R:3 pbc="T T T"
Y 0.000 1.055 1.361
Y 0.000 4.719 4.082
Y 5.012 1.832 4.082
Y 5.012 3.943 1.361
Mg 1.686 1.933 4.082
Mg 1.686 3.841 1.361
Mg 3.326 0.954 1.361
Mg 3.326 4.821 4.082
Mg 6.697 0.954 1.361
Mg 6.697 4.821 4.082
Mg 8.338 1.933 4.082
Mg 8.338 3.841 1.361
```

- magnetic moment (μB per atom) = 0.0016
- density (g/cm³) = 2.90
- V (Å³/cell) = 315.0
- symmetry = Cmcm (63)
- energy of formation from the pure elements (eV/atom) = 0.01


A plane-wave DFT calculation with PBE-GGA was carried out for a geometry-optimized Ba2YCu3Pb2O8 structure.

extended XYZ file:
```
16
Lattice="3.921 0.000 0.000 0.000 3.875 0.000 -0.315 0.000 16.545" Properties=species:S:1:pos:R:3 pbc="T T T"
Ba -0.027 0.000 3.695
Ba 3.634 0.000 12.850
Y 0.000 0.000 0.000
Cu -0.157 0.000 8.272
Cu 1.670 1.937 14.924
Cu 1.936 1.937 1.621
Pb 1.735 1.937 10.064
Pb 1.872 1.937 6.481
O -0.026 1.937 1.454
O 3.632 1.937 15.091
O 0.368 0.000 6.492
O 1.680 1.937 12.273
O 1.666 0.000 15.105
O 1.940 0.000 1.440
O 1.927 1.937 4.272
O 3.238 0.000 10.053
```

- magnetic moment (μB per atom) = 0.0000
- density (g/cm³) = 7.24
- V (Å³/cell) = 251.4
- symmetry = P2/m (10)
- energy of formation from the pure elements (eV/atom) = -2.04
- distance to the lowest polymorph of the same formula (meV per atom) = 3


A plane-wave DFT calculation with PBE-GGA was carried out for a geometry-optimized SnS structure.

extended XYZ file:
```
8
Lattice="22.774 0.000 0.000 0.000 5.825 0.000 0.000 0.000 5.886" Properties=species:S:1:pos:R:3 pbc="T T T"
Sn 1.468 1.456 0.000
Sn 1.468 4.369 2.943
Sn 21.306 1.456 2.943
Sn 21.306 4.369 0.000
S 1.105 1.456 3.155
S 1.105 4.369 0.212
S 21.669 1.456 0.212
S 21.669 4.369 3.155
```

- density (g/cm³) = 1.28
- V (Å³/cell) = 780.8
- symmetry = Aem2 (39)
- energy of formation from the pure elements (eV/atom) = -0.64


A plane-wave DFT calculation with PBE-GGA was carried out for a geometry-optimized Zn3PBr3 structure.

extended XYZ file:
```
7
Lattice="6.707 0.000 0.000 0.000 4.064 0.000 -0.130 0.000 7.072" Properties=species:S:1:pos:R:3 pbc="T T T"
Zn 0.000 0.000 0.000
Zn 0.077 2.032 4.085
Zn 3.596 2.032 6.038
P 5.898 2.032 6.210
Br 2.535 2.032 3.816
Br 2.653 0.000 0.213
Br 6.071 0.000 2.626
```

- density (g/cm³) = 4.02
- V (Å³/cell) = 192.7
- symmetry = Pm (6)
- energy of formation from the pure elements (eV/atom) = -0.90
- maximum piezoelectric response (C/m²) = 0.67


A plane-wave DFT calculation with PBE-GGA was carried out for a geometry-optimized DyInAg2 structure.

extended XYZ file:
```
16
Lattice="7.011 0.000 0.000 0.000 7.011 0.000 0.000 0.000 7.011" Properties=species:S:1:pos:R:3 pbc="T T T"
Dy 0.000 0.000 0.000
Dy 0.000 3.506 3.506
Dy 3.506 0.000 3.506
Dy 3.506 3.506 0.000
In 0.000 0.000 3.506
In 0.000 3.506 0.000
In 3.506 0.000 0.000
In 3.506 3.506 3.506
Ag 1.753 1.753 1.753
Ag 1.753 1.753 5.258
Ag 1.753 5.258 1.753
Ag 1.753 5.258 5.258
Ag 5.258 1.753 1.753
Ag 5.258 1.753 5.258
Ag 5.258 5.258 1.753
Ag 5.258 5.258 5.258
```

- density (g/cm³) = 9.50
- V (Å³/cell) = 344.6
- symmetry = Fm-3m (225)
- energy of formation from the pure elements (eV/atom) = -0.37


A plane-wave DFT calculation with PBE-GGA was carried out for a geometry-optimized KHgBr3O structure.

extended XYZ file:
```
12
Lattice="2.040 -8.836 0.000 2.040 8.836 0.000 0.000 0.000 9.789" Properties=species:S:1:pos:R:3 pbc="T T T"
K 2.040 5.002 4.894
K 2.040 -5.002 0.000
Hg 2.040 0.150 3.118
Hg 2.040 -0.150 8.013
Br 2.040 8.550 4.937
Br 2.040 2.655 2.447
Br 2.040 2.487 7.119
Br 2.040 -2.487 2.225
Br 2.040 -2.655 7.341
Br 2.040 -8.550 0.043
O 2.040 5.905 2.391
O 2.040 -5.905 7.286
```

- magnetic moment (μB per atom) = 0.0000
- density (g/cm³) = 4.66
- V (Å³/cell) = 352.9
- symmetry = Cmc2_1 (36)
- energy of formation from the pure elements (eV/atom) = -0.67
- distance to the lowest polymorph of the same formula (meV per atom) = 106


A plane-wave DFT calculation with PBE-GGA was carried out for a geometry-optimized La6Si7Br3 structure.

extended XYZ file:
```
32
Lattice="4.149 0.000 0.000 0.000 16.925 0.000 0.000 0.000 11.887" Properties=species:S:1:pos:R:3 pbc="T T T"
La 1.037 0.099 1.693
La 1.037 2.204 5.174
La 1.037 4.231 1.691
La 1.037 6.259 5.174
La 1.037 8.364 1.693
La 1.037 12.693 1.873
La 3.112 4.231 10.014
La 3.112 8.561 10.194
La 3.112 10.666 6.713
La 3.112 12.693 10.196
La 3.112 14.721 6.713
La 3.112 16.826 10.194
Si 1.037 2.143 11.098
Si 1.037 6.319 11.098
Si 1.037 10.587 8.969
Si 1.037 10.600 11.394
Si 1.037 12.693 7.762
Si 1.037 14.800 8.969
Si 1.037 14.787 11.394
Si 3.112 2.138 0.493
Si 3.112 2.125 2.919
Si 3.112 4.231 4.125
Si 3.112 6.324 0.493
Si 3.112 6.338 2.919
Si 3.112 10.606 0.789
Si 3.112 14.781 0.789
Br 1.037 4.231 7.582
Br 1.037 9.442 4.655
Br 1.037 15.945 4.655
Br 3.112 0.979 7.232
Br 3.112 7.483 7.232
Br 3.112 12.693 4.305
```

- density (g/cm³) = 5.05
- V (Å³/cell) = 834.7
- symmetry = Pmmn (59)
- energy of formation from the pure elements (eV/atom) = -1.19


A plane-wave DFT calculation with PBE-GGA was carried out for a geometry-optimized HoTe3 structure.

extended XYZ file:
```
16
Lattice="4.340 0.000 0.000 0.000 26.075 0.000 0.000 0.000 4.341" Properties=species:S:1:pos:R:3 pbc="T T T"
Ho 0.000 4.445 1.085
Ho 0.000 21.629 3.256
Ho 2.170 8.592 3.256
Ho 2.170 17.483 1.085
Te 0.000 1.974 3.256
Te 0.000 7.647 1.085
Te 0.000 11.062 3.256
Te 0.000 15.012 1.085
Te 0.000 18.428 3.256
Te 0.000 24.100 1.085
Te 2.170 1.975 1.085
Te 2.170 5.391 3.256
Te 2.170 11.063 1.085
Te 2.170 15.012 3.256
Te 2.170 20.684 1.085
Te 2.170 24.100 3.256
```

- density (g/cm³) = 7.41
- V (Å³/cell) = 491.3
- symmetry = Cmcm (63)
- energy of formation from the pure elements (eV/atom) = -1.23


A plane-wave DFT calculation with PBE-GGA was carried out for a geometry-optimized CaAg3P3O13 structure.

extended XYZ file:
```
40
Lattice="7.548 0.000 0.000 0.000 6.633 0.000 -1.730 0.000 10.666" Properties=species:S:1:pos:R:3 pbc="T T T"
Ca 0.915 1.658 2.025
Ca 4.903 4.975 8.641
Ag 0.333 1.658 8.019
Ag 1.103 4.975 4.454
Ag 3.774 0.000 0.000
Ag 3.774 3.316 0.000
Ag 4.715 1.658 6.212
Ag 5.485 4.975 2.647
P 1.201 4.975 1.096
P 1.127 1.658 5.244
P 0.821 4.975 7.802
P 4.997 1.658 2.864
P 4.691 4.975 5.422
P 4.617 1.658 9.570
O -1.468 4.975 10.594
O -0.240 1.658 6.028
O 0.396 4.975 2.444
O -0.158 3.784 8.015
O -0.158 6.165 8.015
O 1.165 0.479 4.221
O 1.165 2.837 4.221
O 2.079 3.682 1.192
O 2.079 6.267 1.192
O 1.596 4.975 6.452
O 1.048 1.658 9.941
O 2.176 1.658 6.356
O 1.997 4.975 8.788
O 3.821 1.658 1.879
O 3.642 4.975 4.310
O 4.769 4.975 0.725
O 4.222 1.658 4.214
O 3.738 0.366 9.475
O 3.738 2.951 9.475
O 4.652 3.796 6.446
O 4.652 6.153 6.446
O 5.976 0.468 2.652
O 5.976 2.848 2.652
O 5.421 1.658 8.222
O 6.058 4.975 4.638
O 7.286 1.658 0.073
```

- magnetic moment (μB per atom) = 0.0034
- density (g/cm³) = 4.13
- V (Å³/cell) = 534.0
- symmetry = P2_1/m (11)
- energy of formation from the pure elements (eV/atom) = -1.93


A plane-wave DFT calculation with PBE-GGA was carried out for a geometry-optimized SiN3F7 structure.

extended XYZ file:
```
22
Lattice="8.491 0.000 0.000 0.000 8.491 0.000 0.000 0.000 4.278" Properties=species:S:1:pos:R:3 pbc="T T T"
Si 0.000 4.246 0.000
Si 4.246 0.000 0.000
N 0.000 0.000 0.000
N 1.581 2.665 2.139
N 2.665 6.911 2.139
N 4.246 4.246 0.000
N 5.826 1.581 2.139
N 6.911 5.826 2.139
F 0.000 0.000 2.139
F 0.880 5.126 1.088
F 0.880 5.126 3.191
F 1.314 2.932 0.000
F 2.932 7.178 0.000
F 3.365 0.880 1.088
F 3.365 0.880 3.191
F 4.246 4.246 2.139
F 5.126 7.611 1.088
F 5.126 7.611 3.191
F 5.559 1.314 0.000
F 7.178 5.559 0.000
F 7.611 3.365 1.088
F 7.611 3.365 3.191
```

- magnetic moment (μB per atom) = 0.6568
- density (g/cm³) = 2.19
- V (Å³/cell) = 308.5
- symmetry = P4/mbm (127)
- energy of formation from the pure elements (eV/atom) = -0.29


A plane-wave DFT calculation with PBE-GGA was carried out for a geometry-optimized Mg30Al24Ag19 structure.

extended XYZ file:
```
146
Lattice="14.146 0.000 0.000 0.000 14.146 0.000 0.000 0.000 14.146" Properties=species:S:1:pos:R:3 pbc="T T T"
Mg 0.000 0.000 5.410
Mg 0.000 0.000 8.737
Mg 0.000 2.506 1.531
Mg 0.000 2.506 12.615
Mg 0.000 5.410 0.000
Mg 0.000 8.737 0.000
Mg 0.000 11.640 1.531
Mg 0.000 11.640 12.615
Mg 1.531 0.000 2.506
Mg 1.531 0.000 11.640
Mg 1.654 7.073 7.073
Mg 1.711 2.656 4.358
Mg 1.711 2.656 9.788
Mg 1.711 11.491 4.358
Mg 1.711 11.491 9.788
Mg 2.506 1.531 0.000
Mg 2.506 12.615 0.000
Mg 2.656 4.358 1.711
Mg 2.656 4.358 12.435
Mg 2.656 9.788 1.711
Mg 2.656 9.788 12.435
Mg 4.358 1.711 2.656
Mg 4.358 1.711 11.491
Mg 4.358 12.435 2.656
Mg 4.358 12.435 11.491
Mg 4.594 5.467 7.073
Mg 4.594 8.679 7.073
Mg 5.410 0.000 0.000
Mg 5.467 7.073 4.594
Mg 5.467 7.073 9.552
Mg 7.073 1.654 7.073
Mg 7.073 4.594 5.467
Mg 7.073 4.594 8.679
Mg 7.073 7.073 1.654
Mg 7.073 7.073 12.493
Mg 7.073 9.552 5.467
Mg 7.073 9.552 8.679
Mg 7.073 12.493 7.073
Mg 8.679 7.073 4.594
Mg 8.679 7.073 9.552
Mg 8.737 0.000 0.000
Mg 9.552 5.467 7.073
Mg 9.552 8.679 7.073
Mg 9.788 1.711 2.656
Mg 9.788 1.711 11.491
Mg 9.788 12.435 2.656
Mg 9.788 12.435 11.491
Mg 11.491 4.358 1.711
Mg 11.491 4.358 12.435
Mg 11.491 9.788 1.711
Mg 11.491 9.788 12.435
Mg 11.640 1.531 0.000
Mg 11.640 12.615 0.000
Mg 12.435 2.656 4.358
Mg 12.435 2.656 9.788
Mg 12.435 11.491 4.358
Mg 12.435 11.491 9.788
Mg 12.493 7.073 7.073
Mg 12.615 0.000 2.506
Mg 12.615 0.000 11.640
Al 0.000 4.729 5.731
Al 0.000 4.729 8.415
Al 0.000 9.418 5.731
Al 0.000 9.418 8.415
Al 1.368 7.073 2.403
Al 1.368 7.073 11.744
Al 2.403 1.368 7.073
Al 2.403 12.778 7.073
Al 2.703 5.610 4.572
Al 2.703 5.610 9.574
Al 2.703 8.537 4.572
Al 2.703 8.537 9.574
Al 4.572 2.703 5.610
Al 4.572 2.703 8.537
Al 4.572 11.444 5.610
Al 4.572 11.444 8.537
Al 4.729 5.731 0.000
Al 4.729 8.415 0.000
Al 5.610 4.572 2.703
Al 5.610 4.572 11.444
Al 5.610 9.574 2.703
Al 5.610 9.574 11.444
Al 5.731 0.000 4.729
Al 5.731 0.000 9.418
Al 7.073 2.403 1.368
Al 7.073 2.403 12.778
Al 7.073 11.744 1.368
Al 7.073 11.744 12.778
Al 8.415 0.000 4.729
Al 8.415 0.000 9.418
Al 8.537 4.572 2.703
Al 8.537 4.572 11.444
Al 8.537 9.574 2.703
Al 8.537 9.574 11.444
Al 9.418 5.731 0.000
Al 9.418 8.415 0.000
Al 9.574 2.703 5.610
Al 9.574 2.703 8.537
Al 9.574 11.444 5.610
Al 9.574 11.444 8.537
Al 11.444 5.610 4.572
Al 11.444 5.610 9.574
Al 11.444 8.537 4.572
Al 11.444 8.537 9.574
Al 11.744 1.368 7.073
Al 11.744 12.778 7.073
Al 12.778 7.073 2.403
Al 12.778 7.073 11.744
Ag 0.000 0.000 0.000
Ag 0.000 2.331 7.073
Ag 0.000 4.710 3.031
Ag 0.000 4.710 11.116
Ag 0.000 7.073 4.719
Ag 0.000 7.073 9.427
Ag 0.000 9.436 3.031
Ag 0.000 9.436 11.116
Ag 0.000 11.815 7.073
Ag 2.320 4.074 7.073
Ag 2.320 10.073 7.073
Ag 2.331 7.073 0.000
Ag 3.031 0.000 4.710
Ag 3.031 0.000 9.436
Ag 4.074 7.073 2.320
Ag 4.074 7.073 11.826
Ag 4.710 3.031 0.000
Ag 4.710 11.116 0.000
Ag 4.719 0.000 7.073
Ag 7.073 0.000 2.331
Ag 7.073 0.000 11.815
Ag 7.073 2.320 4.074
Ag 7.073 2.320 10.073
Ag 7.073 4.719 0.000
Ag 7.073 7.073 7.073
Ag 7.073 9.427 0.000
Ag 7.073 11.826 4.074
Ag 7.073 11.826 10.073
Ag 9.427 0.000 7.073
Ag 9.436 3.031 0.000
Ag 9.436 11.116 0.000
Ag 10.073 7.073 2.320
Ag 10.073 7.073 11.826
Ag 11.116 0.000 4.710
Ag 11.116 0.000 9.436
Ag 11.815 7.073 0.000
Ag 11.826 4.074 7.073
Ag 11.826 10.073 7.073
```

- magnetic moment (μB per atom) = 0.0000
- density (g/cm³) = 4.02
- V (Å³/cell) = 2831.0
- symmetry = Pm-3 (200)
- energy of formation from the pure elements (eV/atom) = -0.05


A plane-wave DFT calculation with PBE-GGA was carried out for a geometry-optimized NdFe10Re2 structure.

extended XYZ file:
```
13
Lattice="-2.343 4.261 4.403 2.343 -4.261 4.403 2.343 4.261 -4.403" Properties=species:S:1:pos:R:3 pbc="T T T"
Nd 0.000 0.000 0.000
Fe 1.172 2.130 -2.201
Fe 1.172 -2.130 2.201
Fe 2.343 1.915 0.000
Fe 2.343 0.000 2.067
Fe 0.000 3.069 0.000
Fe -1.172 2.130 2.201
Fe 1.172 2.130 2.201
Fe 0.000 5.452 0.000
Fe 0.000 4.261 2.336
Fe 0.000 2.346 4.403
Re 0.000 0.000 3.161
Re 0.000 0.000 5.645
```

- magnetic moment (μB per atom) = 1.4764
- density (g/cm³) = 10.15
- V (Å³/cell) = 175.8
- symmetry = Immm (71)
- energy of formation from the pure elements (eV/atom) = 0.01